## NdScSi (PBE)

Data for an optimized crystal structure of NdScSi.

Cell lengths 4.288, 4.288, 15.877 Å; angles 90.00, 90.00, 90.00 degrees
Space group I4/mmm (No. 139)
Symmetry-distinct sites (fractional):
Nd1 0.000 0.000 0.177
Sc1 0.000 0.500 0.000
Si1 0.000 0.000 0.379

Values from the calculation:
Crystal system: tetragonal
Electronic total energy: -73.5 eV for the cell shown
Calculated density: 4.94 g/cm3

---

## MnB2H8 (PBE)

Data for an optimized crystal structure of MnB2H8.

Cell lengths 9.845, 10.054, 13.365 Å; angles 90.00, 90.00, 90.00 degrees
Space group Fddd (No. 70, origin choice 2)
Symmetry-distinct sites (fractional):
Mn1 0.125 0.125 0.345
B1 0.043 0.278 0.475
H1 0.001 0.357 0.283
H2 0.032 0.294 0.076
H3 0.046 0.012 0.688
H4 0.089 0.281 0.805

Values from the calculation:
Crystal system: orthorhombic
Electronic total energy: -791.6 eV for the cell shown
Calculated density: 1.70 g/cm3

---

## BaNa6O4 (PBE)

Data for an optimized crystal structure of BaNa6O4.

Cell lengths 8.151, 8.151, 5.707 Å; angles 90.00, 90.00, 90.00 degrees
Space group P4_2/nmc (No. 137, origin choice 2)
Symmetry-distinct sites (fractional):
Ba1 0.250 0.750 0.250
Na1 0.037 0.537 0.750
Na2 0.250 0.250 0.224
O1 0.019 0.250 0.982

Values from the calculation:
Crystal system: tetragonal
Electronic total energy: -90.6 eV for the cell shown
Calculated density: 2.97 g/cm3

---

## K2Hg2SCl4O3 (PBE)

Data for an optimized crystal structure of K2Hg2SCl4O3.

Cell lengths 9.799, 6.117, 10.429 Å; angles 90.00, 110.48, 90.00 degrees
Space group P2_1/m (No. 11)
Symmetry-distinct sites (fractional):
K1 0.100 0.250 0.177
K2 0.372 0.750 0.056
Hg1 0.093 0.250 0.632
Hg2 0.384 0.750 0.528
S1 0.193 0.250 0.882
Cl1 0.080 0.750 0.608
Cl2 0.223 0.750 0.293
Cl3 0.338 0.250 0.533
Cl4 0.481 0.250 0.234
O1 0.140 0.049 0.931
O2 0.352 0.250 0.919

Values from the calculation:
Crystal system: monoclinic
Electronic total energy: -88.2 eV for the cell shown
Calculated density: 3.98 g/cm3

---

## Ti2VSe4 (PBE)

Data for an optimized crystal structure of Ti2VSe4.

Cell lengths 13.570, 3.537, 6.420 Å; angles 90.00, 117.05, 90.00 degrees
Space group C2/m (No. 12)
Symmetry-distinct sites (fractional):
Ti1 0.246 0.000 0.206
V1 0.000 0.500 0.500
Se1 0.110 0.500 0.945
Se2 0.133 0.000 0.469

Values from the calculation:
Crystal system: monoclinic
Electronic total energy: -92.2 eV for the cell shown
Calculated density: 5.60 g/cm3

---

Repeat the first record exactly.
## NdScSi (PBE)

Data for an optimized crystal structure of NdScSi.

Cell lengths 4.288, 4.288, 15.877 Å; angles 90.00, 90.00, 90.00 degrees
Space group I4/mmm (No. 139)
Symmetry-distinct sites (fractional):
Nd1 0.000 0.000 0.177
Sc1 0.000 0.500 0.000
Si1 0.000 0.000 0.379

Values from the calculation:
Crystal system: tetragonal
Electronic total energy: -73.5 eV for the cell shown
Calculated density: 4.94 g/cm3

---

Question: Look up the calculated density of the third one.
Answer: 2.97 g/cm3

---

Question: Among the records above, which one has the highest electronic total energy?
Answer: NdScSi

---

Question: Among the records above, which one has the lowest calculated density?
Answer: MnB2H8